The following is a GGA-PBE calculation of crystalline EuTmB12 at its relaxed geometry, from the Materials Project.

Lattice parameters (Å, degrees): 5.8131 5.8131 4.1083 90.00 90.00 90.00
Positions (direct):
1 Eu 0.0000 0.0000 0.0000
2 Tm 0.5000 0.5000 0.0000
3 B 0.0000 0.5000 0.1997
4 B 0.0000 0.5000 0.8003
5 B 0.1502 0.3499 0.5000
6 B 0.1502 0.6501 0.5000
7 B 0.3499 0.1502 0.5000
8 B 0.3499 0.8498 0.5000
9 B 0.5000 0.0000 0.1997
10 B 0.5000 0.0000 0.8003
11 B 0.6501 0.1502 0.5000
12 B 0.6501 0.8498 0.5000
13 B 0.8498 0.3499 0.5000
14 B 0.8498 0.6501 0.5000

Calculated values
The calculation puts the calculated formation energy at -0.419 eV per atom. The calculated density is 5.39 g/cm3. The value obtained for the size of the total moment is 6.8 μB/cell. Its space group is No. 123. As for the total energy: -100.750 eV/cell.

=====

The following is a GGA-PBE calculation of crystalline KLaZrTiO6 at its relaxed geometry, from the Materials Project.

Lattice parameters (Å, degrees): 5.7364 5.7364 5.7364 60.00 60.00 60.00
Positions (direct):
1 K 0.0000 0.0000 0.0000
2 La 0.5000 0.5000 0.5000
3 Zr 0.7500 0.7500 0.7500
4 Ti 0.2500 0.2500 0.2500
5 O 0.0080 0.0080 0.4920
6 O 0.0080 0.4920 0.0080
7 O 0.0080 0.4920 0.4920
8 O 0.4920 0.0080 0.0080
9 O 0.4920 0.0080 0.4920
10 O 0.4920 0.4920 0.0080

Calculated values
The calculation puts the calculated formation energy at -3.421 eV per atom. The calculated density is 5.14 g/cm3. The value obtained for the size of the total moment is 0.0 μB/cell. Its space group is No. 216. As for the total energy: -82.263 eV/cell.

=====

The following is a GGA-PBE calculation of crystalline IrCl3 at its relaxed geometry, from the Materials Project.

Lattice parameters (Å, degrees): 6.2237 6.2237 11.1835 100.86 100.86 108.84
Positions (direct):
1 Ir 0.0000 0.0000 0.0000
2 Ir 0.0805 0.5840 0.1728
3 Ir 0.2523 0.7554 0.5083
4 Ir 0.8417 0.8346 0.6738
5 Cl 0.0023 0.9757 0.5109
6 Cl 0.0745 0.6073 0.6571
7 Cl 0.1378 0.1425 0.8376
8 Cl 0.2287 0.7486 0.0124
9 Cl 0.3071 0.3313 0.1627
10 Cl 0.3906 0.8811 0.3340
11 Cl 0.4985 0.5335 0.5119
12 Cl 0.5767 0.0377 0.6616
13 Cl 0.6956 0.6902 0.8362
14 Cl 0.7956 0.2575 0.0110
15 Cl 0.8584 0.8330 0.1620
16 Cl 0.9527 0.4437 0.3335

Calculated values
The calculation puts the calculated formation energy at -0.930 eV per atom. The calculated density is 5.11 g/cm3. The value obtained for the size of the total moment is 0.0 μB/cell. Its space group is No. 1. As for the total energy: -65.044 eV/cell.

=====

The following is a GGA-PBE calculation of crystalline NaCdF3 at its relaxed geometry, from the Materials Project.

Lattice parameters (Å, degrees): 6.7989 6.7989 5.8312 91.56 91.56 52.73
Positions (direct):
1 Na 0.2469 0.7531 0.5000
2 Na 0.7531 0.2469 0.0000
3 Cd 0.0946 0.5853 0.9931
4 Cd 0.5853 0.0946 0.4931
5 F 0.4019 0.9405 0.4270
6 F 0.4150 0.4207 0.7421
7 F 0.4207 0.4150 0.2421
8 F 0.9031 0.9137 0.7494
9 F 0.9137 0.9031 0.2494
10 F 0.9405 0.4019 0.9270

Calculated values
The calculation puts the calculated formation energy at -2.583 eV per atom. The calculated density is 2.98 g/cm3. The value obtained for the size of the total moment is 0.0 μB/cell. Its space group is No. 9. As for the total energy: -39.035 eV/cell.

=====

What did the second record say?
The following is a GGA-PBE calculation of crystalline KLaZrTiO6 at its relaxed geometry, from the Materials Project.

Lattice parameters (Å, degrees): 5.7364 5.7364 5.7364 60.00 60.00 60.00
Positions (direct):
1 K 0.0000 0.0000 0.0000
2 La 0.5000 0.5000 0.5000
3 Zr 0.7500 0.7500 0.7500
4 Ti 0.2500 0.2500 0.2500
5 O 0.0080 0.0080 0.4920
6 O 0.0080 0.4920 0.0080
7 O 0.0080 0.4920 0.4920
8 O 0.4920 0.0080 0.0080
9 O 0.4920 0.0080 0.4920
10 O 0.4920 0.4920 0.0080

Calculated values
The calculation puts the calculated formation energy at -3.421 eV per atom. The calculated density is 5.14 g/cm3. The value obtained for the size of the total moment is 0.0 μB/cell. Its space group is No. 216. As for the total energy: -82.263 eV/cell.

=====

> Look up the total energy of the fourth one.

-39.035 eV/cell